# 1
Compound: Mg3Si2O9
Source: the Materials Project
Functional: GGA-PBE
Structure: relaxed

extended XYZ file:
```
126
Lattice="5.410 0.000 0.000 -2.705 4.685 0.000 0.000 0.000 65.073" Properties=species:S:1:pos:R:3 pbc="T T T"
Mg 4.446 1.670 0.002
Mg 4.447 1.668 14.459
Mg 4.444 1.670 43.382
Mg -0.964 1.671 21.690
Mg 4.443 1.672 36.177
Mg -0.965 1.674 57.868
Mg 2.767 4.577 7.229
Mg 0.063 0.108 28.920
Mg -0.128 3.126 28.941
Mg 0.062 3.012 50.632
Mg -0.776 4.684 65.072
Mg 1.928 0.000 43.384
Mg 1.926 0.000 57.841
Mg 1.932 0.001 14.486
Mg 1.929 0.001 21.691
Mg -0.773 4.684 36.177
Mg 0.066 3.233 7.250
Mg 2.577 1.559 7.250
Mg 1.738 3.013 14.486
Mg 1.740 3.012 57.868
Mg 1.739 3.015 43.381
Mg 1.742 3.014 0.000
Mg 1.741 3.015 21.693
Mg 1.742 3.017 36.150
Mg 2.771 1.452 28.941
Mg 2.767 1.674 50.631
Mg 5.285 0.000 50.611
Si 4.509 1.561 31.766
Si 4.509 1.561 53.457
Si 1.803 0.000 10.075
Si 1.803 0.000 31.767
Si -0.001 3.122 17.312
Si -0.001 3.123 46.221
Si 0.000 3.125 24.530
Si -0.001 3.126 60.694
Si 0.002 3.123 2.839
Si 0.002 3.124 39.003
Si 2.703 1.562 46.221
Si 2.704 1.560 60.694
Si 2.706 1.560 2.839
Si 2.707 1.562 17.312
Si 2.706 1.563 24.530
Si 2.704 1.564 39.003
Si 1.804 3.124 10.075
Si 1.804 3.124 53.457
O -2.705 4.685 0.758
O -0.001 0.002 15.227
O 0.000 0.000 22.448
O 2.704 4.684 36.918
O 2.705 4.685 44.139
O -2.703 4.685 58.609
O 4.510 1.559 7.997
O 4.508 1.560 30.119
O -0.900 1.562 51.810
O 4.030 2.390 17.847
O -1.379 2.390 39.531
O 4.030 2.390 61.222
O 4.026 2.395 46.754
O -1.386 2.401 3.358
O -1.382 2.397 25.064
O 3.686 2.986 6.319
O -1.878 3.254 20.766
O -1.878 3.253 42.457
O 3.534 3.250 64.149
O 3.527 3.262 13.550
O -2.219 3.844 10.597
O -1.870 3.254 35.234
O -1.725 3.250 49.693
O -0.959 3.124 32.298
O 0.486 0.841 32.288
O 0.822 1.423 35.241
O 0.822 1.439 56.925
O 0.829 1.435 20.767
O 0.826 1.432 42.457
O 0.827 1.432 64.148
O 0.753 1.567 6.311
O 0.835 1.431 13.544
O -0.004 3.119 15.663
O 1.803 0.001 8.428
O -0.902 4.684 30.119
O 1.801 0.000 51.379
O 0.479 2.292 53.989
O -0.002 3.119 44.571
O -0.003 3.127 22.881
O 0.980 1.436 49.693
O 0.006 3.123 37.354
O 0.005 3.124 1.190
O -0.002 3.129 59.045
O 0.982 1.700 28.010
O 1.319 2.285 25.049
O 1.321 2.290 46.755
O 1.746 1.561 10.607
O 1.323 2.289 3.372
O 1.326 2.295 17.840
O 1.325 2.295 39.538
O 1.324 2.296 61.222
O 0.055 4.684 17.840
O 2.760 0.001 39.531
O 2.760 0.000 61.229
O 0.062 4.684 3.373
O 2.766 0.002 25.063
O 0.480 3.954 10.607
O 0.067 4.685 46.740
O 3.448 0.000 49.701
O 2.702 1.557 1.190
O 2.703 1.556 59.045
O 2.701 1.566 37.354
O 0.972 4.554 28.002
O 3.185 0.732 32.298
O 2.702 1.566 44.571
O 1.803 3.125 8.428
O 1.805 3.126 29.688
O 1.805 3.124 51.810
O 2.710 1.562 22.881
O 2.711 1.563 15.663
O 3.676 0.131 6.311
O 1.048 4.678 13.543
O 1.051 4.685 20.766
O 3.753 0.000 42.458
O 1.052 4.685 64.148
O 3.753 0.008 35.235
O 3.766 0.000 56.932
O 1.733 4.685 53.979
O 3.184 2.392 53.989
O 3.459 3.118 28.002
O 3.527 3.247 56.926
```

Properties
magnetization = 4.002 μB per formula unit
VASP energy = -794.28 eV/cell
energy of formation = -2447 meV/atom
corrected total energy (MP2020 scheme) = -849.9 eV for the cell shown
offset from the most stable computed form = 0.016 eV/atom

# 2
Compound: Mg2SiO4
Source: the Materials Project
Functional: GGA-PBE
Structure: relaxed

extended XYZ file:
```
14
Lattice="5.045 0.000 0.000 0.000 8.883 0.000 0.000 0.000 2.841" Properties=species:S:1:pos:R:3 pbc="T T T"
Mg 0.325 1.633 0.000
Mg 2.198 6.075 0.000
Mg 2.847 2.809 0.000
Mg 4.721 7.250 0.000
Si 0.000 4.442 1.421
Si 2.523 0.000 1.421
O 0.697 6.067 1.421
O 1.136 3.998 0.000
O 1.387 8.440 0.000
O 1.826 1.625 1.421
O 3.219 7.258 1.421
O 3.659 0.444 0.000
O 3.909 4.885 0.000
O 4.349 2.817 1.421
```

Properties
magnetization = 0.000 μB per formula unit
VASP energy = -94.01 eV/cell
energy of formation = -3048 meV/atom
corrected total energy (MP2020 scheme) = -99.5 eV for the cell shown
offset from the most stable computed form = 0.174 eV/atom

# 3
Compound: MgSiO6
Source: the Materials Project
Functional: GGA-PBE
Structure: relaxed

extended XYZ file:
```
16
Lattice="5.550 0.000 0.000 0.000 4.989 0.000 -5.394 0.000 7.433" Properties=species:S:1:pos:R:3 pbc="T T T"
Mg 0.000 0.000 0.000
Mg -2.697 2.494 3.717
Si 0.078 0.000 3.717
Si 2.775 2.494 0.000
O -1.386 0.857 3.347
O -4.083 1.637 7.063
O -1.008 3.635 3.569
O -3.705 3.848 7.286
O 0.359 0.230 2.023
O -2.338 2.264 5.739
O 2.494 2.724 1.694
O -0.203 4.759 5.411
O 3.861 1.140 0.147
O 1.164 1.354 3.864
O 4.239 3.351 0.370
O 1.542 4.132 4.087
```

Properties
magnetization = 6.003 μB per formula unit
VASP energy = -88.14 eV/cell
energy of formation = -1435 meV/atom
corrected total energy (MP2020 scheme) = -96.4 eV for the cell shown

# 4
Compound: MgSiO3
Source: the Materials Project
Functional: GGA-PBE
Structure: relaxed

extended XYZ file:
```
80
Lattice="5.250 0.000 0.000 0.000 18.576 0.000 0.000 0.000 9.200" Properties=species:S:1:pos:R:3 pbc="T T T"
Mg 0.333 2.733 0.054
Mg 0.333 6.555 4.653
Mg 0.459 1.979 3.066
Mg 0.459 7.309 7.666
Mg 2.166 11.267 3.066
Mg 2.166 16.597 7.666
Mg 2.292 12.021 0.054
Mg 2.292 15.843 4.653
Mg 2.958 2.733 4.546
Mg 2.958 6.555 9.146
Mg 3.084 1.979 1.534
Mg 3.084 7.309 6.133
Mg 4.791 11.267 1.534
Mg 4.791 16.597 6.133
Mg 4.917 12.021 4.546
Mg 4.917 15.843 9.146
Si 0.375 4.134 6.747
Si 0.375 5.154 2.147
Si 1.185 9.839 6.036
Si 1.185 18.025 1.436
Si 1.440 0.551 6.036
Si 1.440 8.737 1.436
Si 2.250 13.422 6.747
Si 2.250 14.442 2.147
Si 3.000 4.134 7.053
Si 3.000 5.154 2.453
Si 3.810 9.839 7.763
Si 3.810 18.025 3.164
Si 4.065 0.551 7.763
Si 4.065 8.737 3.164
Si 4.876 13.422 7.053
Si 4.876 14.442 2.453
O 0.237 1.024 7.068
O 0.237 8.264 2.468
O 0.245 3.503 1.904
O 0.245 5.785 6.504
O 0.841 13.135 5.755
O 0.841 14.730 1.155
O 0.987 12.887 8.015
O 0.987 14.977 3.415
O 1.213 10.602 4.607
O 1.213 17.262 0.007
O 1.292 1.098 1.384
O 1.292 8.190 5.984
O 1.333 10.386 1.384
O 1.333 17.478 5.984
O 1.413 1.314 4.607
O 1.413 7.974 0.007
O 1.638 3.599 8.015
O 1.638 5.689 3.415
O 1.785 3.847 5.755
O 1.785 5.442 1.155
O 2.380 12.791 1.904
O 2.380 15.073 6.504
O 2.388 10.312 7.068
O 2.388 17.552 2.468
O 2.862 1.024 6.732
O 2.862 8.264 2.132
O 2.870 3.503 2.696
O 2.870 5.785 7.296
O 3.466 13.135 8.044
O 3.466 14.730 3.444
O 3.612 12.887 5.785
O 3.612 14.977 1.185
O 3.838 10.602 9.193
O 3.838 17.262 4.593
O 3.918 1.098 3.216
O 3.918 8.190 7.816
O 3.958 10.386 3.216
O 3.958 17.478 7.816
O 4.038 1.314 9.193
O 4.038 7.974 4.593
O 4.263 3.599 5.785
O 4.263 5.689 1.185
O 4.410 3.847 8.044
O 4.410 5.442 3.444
O 5.006 12.791 2.696
O 5.006 15.073 7.296
O 5.013 10.312 6.732
O 5.013 17.552 2.132
```

Properties
magnetization = 0.000 μB per formula unit
VASP energy = -559.42 eV/cell
energy of formation = -3031 meV/atom
corrected total energy (MP2020 scheme) = -592.4 eV for the cell shown

Look up the corrected total energy (MP2020 scheme) of the fourth one.
-592.4 eV for the cell shown

The lowest VASP energy belongs to which entry?
Mg3Si2O9

What is the magnetization in the second record?
0.000 μB per formula unit